Here is a relaxed structure of LiMnO2 from the Materials Project database. Energies are from PBE+U.

POSCAR file:
```
LiMnO2
1.0
-2.290 1.605 -5.033
-4.736 -3.319 -2.193
-5.125 0.643 2.545
O Li Mn
8 4 4
Direct
0.249 0.001 0.230
0.751 0.999 0.770
0.269 0.501 0.749
0.731 0.499 0.251
0.751 0.999 0.231
0.249 0.001 0.769
0.730 0.501 0.749
0.270 0.499 0.251
0.000 0.000 0.500
0.000 0.500 0.000
0.500 0.000 0.500
0.000 0.500 0.500
0.500 0.500 0.500
0.500 0.000 0.000
0.500 0.500 0.000
0.000 0.000 0.000
```

Computed properties:
* mass density: 4.04 g cm⁻³
* calculated formation energy: -2.16 eV per atom

---

Here is a relaxed structure of Bi8Mo3O21 from the Materials Project database. Energies are from PBE+U.

POSCAR file:
```
Bi8Mo3O21
1.0
-5.156 1.578 1.916
2.499 -1.773 8.185
15.085 35.782 11.127
O Bi Mo
84 32 12
Direct
0.485 0.530 0.032
0.638 0.918 0.172
0.329 0.382 0.704
0.481 0.624 0.165
0.477 0.420 0.902
0.985 0.470 0.468
0.019 0.624 0.665
0.497 0.660 0.735
0.088 0.850 0.000
0.912 0.150 0.000
0.051 0.161 0.628
0.017 0.054 0.202
0.913 0.196 0.700
0.519 0.308 0.764
0.587 0.196 0.200
0.372 0.239 0.575
0.977 0.580 0.598
0.412 0.850 0.500
0.041 0.053 0.932
0.978 0.003 0.864
0.908 0.866 0.525
0.630 0.285 0.643
0.872 0.761 0.925
0.459 0.053 0.432
0.829 0.618 0.796
0.508 0.620 0.666
0.959 0.947 0.068
0.107 0.898 0.596
0.515 0.470 0.968
0.983 0.946 0.798
0.413 0.804 0.800
0.408 0.134 0.975
0.574 0.165 0.051
0.011 0.576 0.100
0.138 0.082 0.328
0.019 0.692 0.736
0.628 0.761 0.425
0.483 0.054 0.702
0.981 0.308 0.264
0.015 0.530 0.532
0.989 0.424 0.900
0.607 0.102 0.904
0.981 0.376 0.335
0.489 0.576 0.600
0.519 0.376 0.835
0.592 0.866 0.025
0.092 0.134 0.475
0.087 0.804 0.300
0.171 0.382 0.204
0.523 0.580 0.098
0.074 0.835 0.449
0.362 0.082 0.828
0.478 0.997 0.636
0.003 0.660 0.235
0.449 0.161 0.128
0.511 0.424 0.400
0.370 0.715 0.357
0.022 0.997 0.136
0.482 0.478 0.467
0.393 0.898 0.096
0.503 0.340 0.265
0.018 0.478 0.967
0.992 0.620 0.166
0.023 0.420 0.402
0.671 0.618 0.296
0.128 0.239 0.075
0.870 0.285 0.143
0.588 0.150 0.500
0.481 0.692 0.236
0.517 0.946 0.298
0.949 0.839 0.372
0.008 0.380 0.834
0.541 0.947 0.568
0.982 0.522 0.033
0.862 0.918 0.672
0.997 0.340 0.765
0.551 0.839 0.872
0.893 0.102 0.404
0.492 0.380 0.334
0.518 0.522 0.533
0.522 0.003 0.364
0.426 0.835 0.949
0.130 0.715 0.857
0.926 0.165 0.551
0.268 0.191 0.242
0.768 0.302 0.443
0.271 0.589 0.421
0.319 0.528 0.284
0.766 0.546 0.854
0.681 0.472 0.716
0.729 0.411 0.579
0.730 0.222 0.810
0.750 0.639 0.489
0.230 0.778 0.690
0.737 0.743 0.125
0.770 0.222 0.310
0.250 0.361 0.011
0.768 0.809 0.258
0.232 0.191 0.742
0.237 0.257 0.375
0.263 0.257 0.875
0.270 0.778 0.190
0.232 0.698 0.557
0.732 0.809 0.758
0.763 0.743 0.625
0.734 0.546 0.354
0.229 0.589 0.921
0.181 0.528 0.784
0.268 0.698 0.057
0.732 0.302 0.943
0.250 0.361 0.511
0.234 0.454 0.146
0.266 0.454 0.646
0.819 0.472 0.216
0.771 0.411 0.079
0.750 0.639 0.989
0.743 0.928 0.396
0.257 0.072 0.604
0.243 0.072 0.104
0.759 0.029 0.035
0.757 0.928 0.896
0.259 0.971 0.465
0.779 0.108 0.173
0.741 0.029 0.535
0.241 0.971 0.965
0.721 0.108 0.673
0.221 0.892 0.827
0.279 0.892 0.327
```

Computed properties:
* mass density: 7.68 g cm⁻³
* total magnetization: 0.00 μB/f.u.
* calculated formation energy: -1.83 eV per atom

---

Here is a relaxed structure of KAl2NiP3H4O14 from the Materials Project database. Energies are from PBE+U.

POSCAR file:
```
KAl2NiP3H4O14
1.0
5.104 6.594 0.000
-5.104 6.594 0.000
0.000 2.707 8.346
H O Al P Ni K
8 28 4 6 2 2
Direct
0.128 0.573 0.041
0.980 0.719 0.980
0.020 0.281 0.020
0.281 0.020 0.520
0.427 0.872 0.459
0.573 0.128 0.541
0.719 0.980 0.480
0.872 0.427 0.959
0.476 0.651 0.113
0.626 0.790 0.334
0.273 0.175 0.969
0.473 0.671 0.807
0.651 0.476 0.613
0.349 0.524 0.387
0.524 0.349 0.887
0.527 0.329 0.193
0.101 0.691 0.984
0.040 0.496 0.659
0.175 0.273 0.469
0.691 0.101 0.484
0.808 0.003 0.179
0.003 0.808 0.679
0.825 0.727 0.531
0.496 0.040 0.159
0.960 0.504 0.341
0.192 0.997 0.821
0.329 0.527 0.693
0.790 0.626 0.834
0.374 0.210 0.666
0.899 0.309 0.016
0.309 0.899 0.516
0.997 0.192 0.321
0.727 0.825 0.031
0.504 0.960 0.841
0.210 0.374 0.166
0.671 0.473 0.307
0.595 0.749 0.927
0.251 0.405 0.573
0.749 0.595 0.427
0.405 0.251 0.073
0.918 0.668 0.674
0.668 0.918 0.174
0.502 0.498 0.250
0.498 0.502 0.750
0.332 0.082 0.826
0.082 0.332 0.326
0.226 0.774 0.750
0.774 0.226 0.250
0.865 0.135 0.750
0.135 0.865 0.250
```

Computed properties:
* mass density: 2.79 g cm⁻³
* total magnetization: 2.00 μB/f.u.
* calculated formation energy: -2.46 eV per atom

---

- Among the records above, which one has the lowest mass density?
  KAl2NiP3H4O14

---

- mass density of number 2 (Bi8Mo3O21)?
  7.68 g cm⁻³